Here is SrCa3Mn4O12 after structural relaxation from the Materials Project database. Energies are from GGA+U.

a = 5.383 Å, b = 10.869 Å, c = 15.280 Å
α = 89.96°, β = 90.00°, γ = 90.03°
Fractional coordinates of all 80 atoms:
O: 0.287 0.856 0.270
O: 0.206 0.104 0.770
O: 0.785 0.889 0.235
O: 0.079 0.741 0.626
O: 0.787 0.397 0.232
Sr: 0.996 0.014 0.124
O: 0.577 0.001 0.377
O: 0.794 0.895 0.522
O: 0.293 0.854 0.480
O: 0.706 0.146 0.730
Ca: 0.509 0.772 0.625
O: 0.206 0.605 0.978
Sr: 0.508 0.266 0.124
O: 0.708 0.144 0.523
O: 0.286 0.357 0.489
O: 0.284 0.359 0.264
O: 0.714 0.143 0.011
Mn: 0.000 0.750 0.750
O: 0.921 0.759 0.874
Mn: 0.499 0.999 0.502
Mn: 0.499 0.999 0.749
Mn: 0.497 0.503 0.248
Mn: 0.501 0.501 0.751
O: 0.421 0.988 0.626
O: 0.794 0.396 0.730
O: 0.712 0.645 0.521
O: 0.945 0.254 0.377
Mn: 0.000 0.250 0.250
Mn: 0.001 0.249 0.503
O: 0.786 0.393 0.522
O: 0.707 0.646 0.020
O: 0.716 0.141 0.236
O: 0.214 0.107 0.978
Mn: 0.002 0.752 0.502
O: 0.205 0.101 0.483
Ca: 0.491 0.227 0.874
O: 0.213 0.103 0.268
Ca: 0.491 0.728 0.875
Ca: 0.991 0.022 0.626
O: 0.579 0.512 0.874
Ca: 0.991 0.523 0.626
O: 0.055 0.246 0.123
O: 0.921 0.261 0.873
O: 0.713 0.644 0.230
Mn: 0.000 0.250 0.750
O: 0.292 0.356 0.977
Mn: 0.998 0.748 0.998
Ca: 0.009 0.978 0.375
Sr: 0.492 0.234 0.376
Ca: 0.493 0.731 0.375
O: 0.288 0.855 0.979
Mn: 0.503 0.997 0.252
O: 0.074 0.744 0.124
O: 0.216 0.610 0.486
Mn: 0.000 0.750 0.250
Sr: 0.004 0.486 0.376
O: 0.215 0.611 0.265
O: 0.795 0.399 0.017
O: 0.578 0.009 0.873
Ca: 0.009 0.478 0.874
O: 0.784 0.890 0.014
O: 0.706 0.646 0.729
O: 0.423 0.499 0.123
O: 0.079 0.239 0.627
Mn: 0.999 0.251 0.997
O: 0.206 0.604 0.770
Mn: 0.501 0.501 0.998
Mn: 0.503 0.998 0.997
Ca: 0.509 0.273 0.626
O: 0.448 0.991 0.124
Mn: 0.497 0.502 0.503
Ca: 0.991 0.522 0.125
O: 0.794 0.896 0.730
O: 0.422 0.491 0.627
O: 0.926 0.756 0.376
Ca: 0.009 0.977 0.874
O: 0.552 0.509 0.376
O: 0.294 0.354 0.770
O: 0.294 0.854 0.771
Ca: 0.507 0.769 0.125

Summary:
**Energy relative to the elements**: -2479 meV per atom
**Space group**: P-1 (2)
**Spin magnetization**: 0.60 μB per atom



Here is Sr3Ca5Mn8O20 after structural relaxation from the Materials Project database. Energies are from GGA+U.

a = 7.843 Å, b = 7.839 Å, c = 7.728 Å
α = 88.42°, β = 88.15°, γ = 90.50°
Fractional coordinates of all 36 atoms:
Ca: 0.260 0.741 0.264
Ca: 0.735 0.738 0.719
Mn: 0.999 0.997 0.519
O: 0.940 0.936 0.774
O: 0.498 0.745 0.469
Ca: 0.741 0.743 0.277
O: 0.009 0.530 0.749
Sr: 0.259 0.265 0.738
O: 0.250 0.997 0.510
Ca: 0.254 0.736 0.716
Mn: 0.501 0.503 0.503
Mn: 0.002 0.508 0.492
O: 0.758 0.994 0.473
O: 0.531 0.018 0.243
Sr: 0.250 0.246 0.251
O: 0.981 0.232 0.023
O: 0.505 0.258 0.499
O: 0.505 0.255 0.995
O: 0.260 0.502 0.479
O: 0.257 0.514 0.012
O: 0.228 0.962 0.061
O: 0.518 0.986 0.754
O: 0.744 0.508 0.488
O: 0.994 0.249 0.512
O: 0.499 0.525 0.747
Ca: 0.735 0.252 0.721
Mn: 0.001 0.993 0.996
Mn: 0.506 0.510 0.992
Sr: 0.750 0.263 0.258
Mn: 0.487 0.995 0.005
O: 0.004 0.525 0.241
O: 0.006 0.761 0.459
Mn: 0.505 0.000 0.494
O: 0.752 0.519 0.020
O: 0.524 0.749 0.047
Mn: 0.001 0.493 0.999

Summary:
**Energy relative to the elements**: -2471 meV per atom
**Space group**: P1 (1)
**Spin magnetization**: 0.89 μB per atom



Here is Sr2Ca6Mn8O21 after structural relaxation from the Materials Project database. Energies are from GGA+U.

a = 11.058 Å, b = 15.620 Å, c = 11.004 Å
α = 90.24°, β = 91.15°, γ = 90.45°
Fractional coordinates of all 148 atoms:
Mn: 0.990 0.253 0.260
Mn: 0.747 0.504 0.503
Ca: 0.749 0.389 0.757
O: 0.363 0.501 0.628
O: 0.859 0.482 0.641
O: 0.742 0.378 0.468
O: 0.597 0.754 0.110
O: 0.890 0.516 0.894
Mn: 0.236 0.499 0.508
O: 0.356 0.764 0.645
O: 0.866 0.771 0.140
Mn: 0.247 0.751 0.497
Sr: 0.999 0.113 0.001
Mn: 0.499 0.504 0.747
Ca: 0.237 0.626 0.260
O: 0.244 0.124 0.020
O: 0.585 0.993 0.077
O: 0.387 0.517 0.895
Mn: 0.990 0.256 0.764
O: 0.747 0.626 0.544
O: 0.488 0.374 0.759
O: 0.657 0.718 0.356
Ca: 0.012 0.620 0.993
O: 0.520 0.872 0.781
O: 0.860 0.487 0.143
O: 0.245 0.126 0.527
O: 0.630 0.024 0.340
O: 0.004 0.380 0.792
O: 0.651 0.728 0.856
O: 0.657 0.222 0.350
O: 0.098 0.979 0.622
Ca: 0.779 0.121 0.750
Ca: 0.216 0.871 0.737
Ca: 0.533 0.622 0.975
O: 0.618 0.524 0.370
O: 0.361 0.519 0.160
O: 0.615 0.491 0.618
O: 0.892 0.730 0.406
Mn: 0.743 0.997 0.495
Mn: 0.243 0.997 0.515
O: 0.351 0.997 0.169
O: 0.628 0.033 0.842
Sr: 0.232 0.117 0.249
Mn: 0.755 0.250 0.005
O: 0.097 0.771 0.607
Ca: 0.004 0.622 0.510
O: 0.294 0.871 0.001
Mn: 0.251 0.516 0.007
O: 0.005 0.628 0.216
O: 0.146 0.739 0.845
Ca: 0.771 0.623 0.757
Ca: 0.768 0.382 0.255
O: 0.405 0.699 0.363
O: 0.154 0.249 0.830
Mn: 0.260 0.753 0.974
O: 0.107 0.483 0.104
Mn: 0.523 0.257 0.256
O: 0.481 0.869 0.294
Ca: 0.962 0.388 0.500
Ca: 0.543 0.129 0.983
O: 0.754 0.122 0.533
Sr: 0.231 0.112 0.751
O: 0.098 0.974 0.122
O: 0.224 0.652 0.052
O: 0.994 0.379 0.281
Ca: 0.269 0.629 0.737
O: 0.747 0.377 0.974
O: 0.641 0.515 0.862
O: 0.589 0.248 0.595
Ca: 0.958 0.881 0.999
Mn: 0.992 0.993 0.254
O: 0.588 0.254 0.098
Ca: 0.967 0.873 0.512
O: 0.996 0.128 0.228
O: 0.993 0.870 0.293
O: 0.411 0.731 0.899
Mn: 0.521 0.748 0.264
Mn: 0.267 0.246 0.465
O: 0.899 0.733 0.901
Ca: 0.544 0.126 0.476
O: 0.145 0.527 0.859
O: 0.751 0.627 0.037
Mn: 0.504 0.748 0.748
Mn: 0.268 0.239 0.964
Mn: 0.522 0.253 0.752
O: 0.901 0.243 0.918
O: 0.750 0.124 0.036
O: 0.283 0.353 0.008
Ca: 0.530 0.629 0.513
O: 0.149 0.995 0.872
O: 0.602 0.762 0.603
Ca: 0.227 0.887 0.269
O: 0.659 0.225 0.854
Sr: 0.508 0.387 0.989
Mn: 0.996 0.749 0.749
O: 0.740 0.873 0.968
Ca: 0.517 0.858 0.986
Mn: 0.507 0.495 0.242
Mn: 0.991 0.992 0.753
Mn: 0.755 0.746 0.000
Ca: 0.743 0.866 0.752
O: 0.880 0.011 0.385
Ca: 0.779 0.119 0.250
O: 0.994 0.870 0.789
O: 0.406 0.205 0.859
O: 0.986 0.625 0.718
Mn: 0.508 0.980 0.230
O: 0.743 0.871 0.464
O: 0.224 0.627 0.521
O: 0.852 0.270 0.152
Mn: 0.752 0.746 0.505
Mn: 0.246 0.991 0.017
O: 0.407 0.205 0.355
Sr: 0.503 0.383 0.508
O: 0.900 0.244 0.416
Mn: 0.998 0.502 0.752
O: 0.614 0.499 0.110
O: 0.997 0.130 0.732
O: 0.889 0.518 0.387
O: 0.854 0.275 0.652
O: 0.158 0.750 0.334
Mn: 0.754 0.249 0.505
Ca: 0.781 0.620 0.253
Mn: 0.740 0.000 0.994
Ca: 0.765 0.870 0.256
Sr: 0.243 0.396 0.764
O: 0.143 0.006 0.371
Sr: 0.999 0.113 0.502
Ca: 0.491 0.866 0.509
O: 0.150 0.249 0.323
Mn: 0.002 0.503 0.249
Mn: 0.510 0.988 0.732
O: 0.879 0.009 0.888
O: 0.845 0.979 0.638
O: 0.473 0.377 0.275
O: 0.851 0.770 0.646
O: 0.147 0.510 0.354
Sr: 0.237 0.386 0.244
O: 0.492 0.628 0.723
O: 0.847 0.981 0.138
Mn: 0.996 0.750 0.263
O: 0.272 0.371 0.488
O: 0.281 0.878 0.473
Ca: 0.964 0.388 0.001
O: 0.352 0.989 0.663
Mn: 0.752 0.505 0.002
O: 0.588 0.995 0.578
O: 0.098 0.479 0.614

Summary:
**Energy relative to the elements**: -2508 meV per atom
**Space group**: P1 (1)
**Spin magnetization**: 0.81 μB per atom



Here is SrCaMn2O5 after structural relaxation from the Materials Project database. Energies are from GGA+U.

a = 11.042 Å, b = 11.167 Å, c = 17.590 Å
α = 108.50°, β = 108.40°, γ = 90.02°
Fractional coordinates of all 144 atoms:
Mn: 0.508 0.502 0.003
Mn: 0.753 0.249 0.498
Mn: 0.613 0.596 0.759
Ca: 0.202 0.936 0.392
O: 0.125 0.626 0.993
O: 0.131 0.876 0.499
O: 0.087 0.090 0.133
Mn: 0.010 0.001 0.004
Mn: 0.855 0.409 0.244
O: 0.890 0.882 0.015
Mn: 0.253 0.248 0.499
O: 0.831 0.784 0.129
Mn: 0.368 0.408 0.756
O: 0.931 0.417 0.358
O: 0.876 0.618 0.990
Ca: 0.451 0.709 0.898
Sr: 0.061 0.300 0.611
Mn: 0.258 0.252 0.004
Mn: 0.753 0.747 0.496
O: 0.622 0.623 0.492
Ca: 0.305 0.564 0.106
Sr: 0.947 0.196 0.386
O: 0.325 0.787 0.131
O: 0.926 0.062 0.237
Sr: 0.451 0.202 0.892
O: 0.378 0.879 0.503
Sr: 0.808 0.057 0.609
O: 0.885 0.386 0.014
Sr: 0.196 0.439 0.386
O: 0.430 0.418 0.357
O: 0.628 0.375 0.501
O: 0.950 0.911 0.872
O: 0.946 0.415 0.873
O: 0.689 0.209 0.870
O: 0.927 0.577 0.247
O: 0.943 0.067 0.753
O: 0.319 0.804 0.638
Mn: 0.002 0.500 0.498
O: 0.627 0.621 0.991
O: 0.075 0.596 0.131
Sr: 0.950 0.202 0.893
Mn: 0.353 0.408 0.243
Sr: 0.559 0.301 0.611
O: 0.937 0.580 0.764
O: 0.826 0.316 0.644
Sr: 0.060 0.802 0.610
O: 0.330 0.301 0.639
O: 0.174 0.428 0.238
Ca: 0.954 0.710 0.900
Sr: 0.696 0.439 0.386
O: 0.878 0.122 0.497
Mn: 0.603 0.086 0.241
Mn: 0.253 0.749 0.497
O: 0.580 0.092 0.132
Sr: 0.446 0.197 0.386
O: 0.426 0.578 0.246
O: 0.878 0.376 0.501
Ca: 0.305 0.064 0.104
O: 0.690 0.687 0.358
O: 0.625 0.122 0.494
O: 0.190 0.442 0.754
Mn: 0.115 0.604 0.757
Ca: 0.804 0.064 0.104
Mn: 0.609 0.100 0.752
Sr: 0.698 0.938 0.386
O: 0.439 0.583 0.762
Sr: 0.702 0.941 0.894
Sr: 0.811 0.559 0.611
O: 0.371 0.116 0.492
Mn: 0.351 0.898 0.244
O: 0.629 0.126 0.998
O: 0.128 0.118 0.494
O: 0.639 0.385 0.017
Sr: 0.309 0.560 0.611
O: 0.425 0.059 0.238
O: 0.625 0.871 0.497
O: 0.575 0.079 0.635
O: 0.836 0.294 0.135
O: 0.880 0.122 0.997
Mn: 0.508 0.001 0.003
O: 0.937 0.914 0.357
Ca: 0.553 0.291 0.103
O: 0.636 0.878 0.013
O: 0.449 0.913 0.870
O: 0.187 0.927 0.763
O: 0.875 0.622 0.492
Mn: 0.758 0.750 0.002
Ca: 0.056 0.792 0.105
Mn: 0.502 0.499 0.497
O: 0.427 0.066 0.745
O: 0.121 0.624 0.489
O: 0.379 0.376 0.502
O: 0.072 0.584 0.639
Sr: 0.201 0.443 0.894
Ca: 0.307 0.059 0.604
O: 0.195 0.206 0.871
Mn: 0.502 0.999 0.497
O: 0.138 0.383 0.017
Ca: 0.555 0.791 0.103
O: 0.181 0.189 0.357
Mn: 0.118 0.093 0.756
O: 0.683 0.430 0.763
O: 0.576 0.580 0.643
Mn: 0.005 0.998 0.497
O: 0.432 0.913 0.359
O: 0.449 0.415 0.873
Ca: 0.054 0.291 0.105
Sr: 0.559 0.802 0.610
O: 0.376 0.624 0.493
Mn: 0.604 0.592 0.243
O: 0.130 0.121 0.995
O: 0.334 0.291 0.133
O: 0.380 0.624 0.994
O: 0.388 0.884 0.014
O: 0.693 0.942 0.754
Mn: 0.758 0.254 0.005
O: 0.703 0.707 0.872
Mn: 0.105 0.598 0.245
O: 0.375 0.118 0.993
O: 0.388 0.386 0.016
O: 0.682 0.183 0.356
Ca: 0.204 0.939 0.900
Ca: 0.703 0.440 0.900
O: 0.679 0.922 0.237
O: 0.578 0.596 0.132
O: 0.129 0.376 0.503
Mn: 0.360 0.905 0.754
Mn: 0.868 0.903 0.754
Mn: 0.105 0.085 0.244
Mn: 0.859 0.896 0.242
O: 0.087 0.075 0.640
Mn: 0.007 0.503 0.003
Mn: 0.258 0.752 0.003
O: 0.138 0.880 0.013
Mn: 0.860 0.415 0.760
O: 0.191 0.698 0.360
Ca: 0.950 0.705 0.392
Ca: 0.807 0.563 0.106
O: 0.174 0.917 0.246
O: 0.203 0.713 0.873
O: 0.673 0.424 0.237
O: 0.824 0.807 0.637
Ca: 0.448 0.704 0.392
O: 0.881 0.873 0.499

Summary:
**Energy relative to the elements**: -2550 meV per atom
**Space group**: P1 (1)
**Spin magnetization**: 0.89 μB per atom